Record 1
First-principles (GGA-PBE) data for a geometry-optimized Zr2Pd structure, as listed in the Materials Project.

Calculated values
SG: I4/mmm
DFT formation energy: -0.49 eV per atom
E: -23.74 eV for the cell shown

a = 5.9191 Å, b = 5.9191 Å, c = 5.9191 Å
α = 147.04°, β = 147.04°, γ = 47.30°
Fractional coordinates of all 3 atoms:
Zr 0.1567 0.1567 0.0000
Zr 0.8433 0.8433 0.0000
Pd 0.5000 0.5000 0.0000

Record 2
First-principles (GGA-PBE) data for a geometry-optimized AlN3F6 structure, as listed in the Materials Project.

Calculated values
Total moment: 5.515 μB per formula unit
SG: Fm-3m
MP2020-corrected energy: -4.17 eV per atom
DFT formation energy: -0.14 eV per atom
E: -38.89 eV for the cell shown

a = 5.3523 Å, b = 5.3523 Å, c = 5.3523 Å
α = 60.00°, β = 60.00°, γ = 60.00°
Fractional coordinates of all 10 atoms:
Al 0.0000 0.0000 0.0000
N 0.2500 0.2500 0.2500
N 0.5000 0.5000 0.5000
N 0.7500 0.7500 0.7500
F 0.2461 0.2461 0.7539
F 0.2461 0.7539 0.2461
F 0.2461 0.7539 0.7539
F 0.7539 0.2461 0.2461
F 0.7539 0.2461 0.7539
F 0.7539 0.7539 0.2461

Record 3
First-principles (GGA-PBE) data for a geometry-optimized LiUBO5 structure, as listed in the Materials Project.

Calculated values
Total moment: 0.000 μB per formula unit
SG: P2_1/c
MP2020-corrected energy: -8.76 eV per atom
DFT formation energy: -3.18 eV per atom
E: -266.48 eV for the cell shown

a = 5.9008 Å, b = 10.6922 Å, c = 6.8739 Å
α = 90.00°, β = 104.94°, γ = 90.00°
Fractional coordinates of all 32 atoms:
Li 0.0517 0.2290 0.1241
Li 0.0517 0.2710 0.6241
Li 0.9483 0.7290 0.3759
Li 0.9483 0.7710 0.8759
U 0.4006 0.5658 0.7289
U 0.4006 0.9342 0.2289
U 0.5994 0.0658 0.7711
U 0.5994 0.4342 0.2711
B 0.2843 0.6476 0.2015
B 0.2843 0.8524 0.7015
B 0.7157 0.1476 0.2985
B 0.7157 0.3524 0.7985
O 0.1548 0.7436 0.6723
O 0.1548 0.7564 0.1723
O 0.1633 0.0501 0.1794
O 0.1633 0.4499 0.6794
O 0.3502 0.5853 0.0483
O 0.3502 0.9147 0.5483
O 0.3506 0.1755 0.7134
O 0.3506 0.3245 0.2134
O 0.3614 0.5895 0.3874
O 0.3614 0.9105 0.8874
O 0.6386 0.0895 0.1126
O 0.6386 0.4105 0.6126
O 0.6494 0.6755 0.7866
O 0.6494 0.8245 0.2866
O 0.6498 0.0853 0.4517
O 0.6498 0.4147 0.9517
O 0.8367 0.5501 0.3206
O 0.8367 0.9499 0.8206
O 0.8452 0.2436 0.8277
O 0.8452 0.2564 0.3277

Record 4
First-principles (GGA-PBE) data for a geometry-optimized LuAl6Cu6 structure, as listed in the Materials Project.

Calculated values
SG: Immm
DFT formation energy: -0.35 eV per atom
E: -56.09 eV for the cell shown

a = 6.5811 Å, b = 6.5811 Å, c = 6.5811 Å
α = 134.71°, β = 99.18°, γ = 97.87°
Fractional coordinates of all 13 atoms:
Lu 0.0000 0.0000 0.0000
Al 0.2017 0.7017 0.5000
Al 0.3454 0.0000 0.3454
Al 0.3481 0.3481 0.0000
Al 0.6519 0.6519 0.0000
Al 0.6546 0.0000 0.6546
Al 0.7983 0.2983 0.5000
Cu 0.0000 0.0000 0.5000
Cu 0.0000 0.5000 0.0000
Cu 0.2262 0.5000 0.7262
Cu 0.5000 0.0000 0.0000
Cu 0.5000 0.5000 0.5000
Cu 0.7738 0.5000 0.2738

Record 5
First-principles (GGA-PBE) data for a geometry-optimized Ba7Al6Te16 structure, as listed in the Materials Project.

Calculated values
Total moment: 0.628 μB per formula unit
SG: P1
MP2020-corrected energy: -4.08 eV per atom
Offset from the most stable computed form: 1.091 kcal/mol of atoms
DFT formation energy: -1.11 eV per atom
E: -223.18 eV for the cell shown

a = 7.0163 Å, b = 7.0371 Å, c = 45.9433 Å
α = 89.47°, β = 89.49°, γ = 68.38°
Fractional coordinates of all 58 atoms:
Ba 0.0000 0.0000 0.0000
Ba 0.0001 0.0005 0.8749
Ba 0.0138 0.0068 0.6226
Ba 0.0321 0.0350 0.7412
Ba 0.4626 0.4648 0.7417
Ba 0.4953 0.4897 0.6228
Ba 0.4949 0.4947 0.8753
Ba 0.4956 0.4955 0.9995
Ba 0.5077 0.5026 0.1249
Ba 0.5128 0.5063 0.3744
Ba 0.5245 0.5287 0.2605
Ba 0.9604 0.9612 0.2608
Ba 0.9924 0.9887 0.1244
Ba 0.9984 0.9881 0.5020
Al 0.2325 0.2641 0.1893
Al 0.2402 0.2348 0.3142
Al 0.2525 0.2428 0.0617
Al 0.2520 0.2463 0.9391
Al 0.2550 0.2407 0.8138
Al 0.2677 0.2478 0.5610
Al 0.7313 0.7663 0.8106
Al 0.7494 0.7490 0.6873
Al 0.7514 0.7437 0.9381
Al 0.7528 0.7403 0.1867
Al 0.7528 0.7459 0.0617
Al 0.7546 0.7430 0.4377
Te 0.0078 0.4874 0.7731
Te 0.0147 0.4730 0.5220
Te 0.0152 0.4805 0.8566
Te 0.0219 0.4834 0.6016
Te 0.0342 0.4612 0.0169
Te 0.0427 0.4528 0.1073
Te 0.0453 0.4526 0.3572
Te 0.0676 0.4168 0.2625
Te 0.1393 0.7119 0.6857
Te 0.1420 0.7171 0.9377
Te 0.1520 0.6018 0.4401
Te 0.1637 0.6842 0.1876
Te 0.2738 0.8485 0.3164
Te 0.2844 0.8505 0.0623
Te 0.3039 0.8366 0.8127
Te 0.3277 0.8573 0.5604
Te 0.4699 0.0203 0.4069
Te 0.4853 0.0182 0.4700
Te 0.5002 0.9910 0.2271
Te 0.5052 0.9901 0.1443
Te 0.5342 0.9608 0.8933
Te 0.5414 0.9538 0.9839
Te 0.5454 0.9551 0.6429
Te 0.5773 0.9189 0.7388
Te 0.6295 0.1948 0.3152
Te 0.6432 0.2167 0.0623
Te 0.6586 0.1940 0.8124
Te 0.6607 0.1853 0.5608
Te 0.7836 0.3514 0.9377
Te 0.7848 0.3604 0.6856
Te 0.8159 0.3254 0.1875
Te 0.8972 0.3459 0.4378

Record 6
First-principles (GGA-PBE) data for a geometry-optimized Li3LaBi2 structure, as listed in the Materials Project.

Calculated values
SG: P-3m1
DFT formation energy: -0.73 eV per atom
E: -22.84 eV for the cell shown

a = 4.7728 Å, b = 4.7728 Å, c = 7.5706 Å
α = 90.00°, β = 90.00°, γ = 120.00°
Fractional coordinates of all 6 atoms:
Li 0.0000 0.0000 0.0000
Li 0.3333 0.6667 0.1474
Li 0.6667 0.3333 0.8526
La 0.0000 0.0000 0.5000
Bi 0.3333 0.6667 0.7537
Bi 0.6667 0.3333 0.2463

Record 7
First-principles (GGA-PBE) data for a geometry-optimized K2RbCeI6 structure, as listed in the Materials Project.

Calculated values
Total moment: 1.000 μB per formula unit
SG: Fm-3m
MP2020-corrected energy: -3.41 eV per atom
DFT formation energy: -1.58 eV per atom
E: -31.80 eV for the cell shown

a = 9.3187 Å, b = 9.3187 Å, c = 9.3187 Å
α = 60.00°, β = 60.00°, γ = 60.00°
Fractional coordinates of all 10 atoms:
K 0.2500 0.2500 0.2500
K 0.7500 0.7500 0.7500
Rb 0.0000 0.0000 0.0000
Ce 0.5000 0.5000 0.5000
I 0.2633 0.2633 0.7367
I 0.2633 0.7367 0.2633
I 0.2633 0.7367 0.7367
I 0.7367 0.2633 0.2633
I 0.7367 0.2633 0.7367
I 0.7367 0.7367 0.2633

Record 8
First-principles (GGA-PBE) data for a geometry-optimized Mg6FeC structure, as listed in the Materials Project.

Calculated values
Total moment: 2.432 μB per formula unit
SG: Amm2
Offset from the most stable computed form: 6.161 kcal/mol of atoms
DFT formation energy: 0.44 eV per atom
E: -23.81 eV for the cell shown

a = 3.7621 Å, b = 6.2178 Å, c = 6.2178 Å
α = 82.93°, β = 90.00°, γ = 90.00°
Fractional coordinates of all 8 atoms:
Mg 0.0000 0.0000 0.0000
Mg 0.0000 0.4009 0.4009
Mg 0.0000 0.5033 0.8660
Mg 0.0000 0.8660 0.5033
Mg 0.5000 0.1934 0.6935
Mg 0.5000 0.6935 0.1934
Fe 0.5000 0.1950 0.1950
C 0.5000 0.5488 0.5488

Record 9
First-principles (GGA-PBE) data for a geometry-optimized SiO2 structure, as listed in the Materials Project.

Calculated values
SG: Pmma
MP2020-corrected energy: -8.36 eV per atom
DFT formation energy: -3.25 eV per atom
E: -284.52 eV for the cell shown

a = 10.0377 Å, b = 7.5826 Å, c = 9.3962 Å
α = 90.00°, β = 90.00°, γ = 90.00°
Fractional coordinates of all 36 atoms:
Si 0.0951 0.0000 0.1376
Si 0.0953 0.2944 0.3707
Si 0.0953 0.7056 0.3707
Si 0.4049 0.0000 0.1376
Si 0.4047 0.2944 0.3707
Si 0.4047 0.7056 0.3707
Si 0.5951 0.0000 0.8624
Si 0.5953 0.2944 0.6293
Si 0.5953 0.7056 0.6293
Si 0.9049 0.0000 0.8624
Si 0.9047 0.2944 0.6293
Si 0.9047 0.7056 0.6293
O 0.0000 0.0000 0.0000
O 0.0000 0.2292 0.5000
O 0.0000 0.7708 0.5000
O 0.0645 0.1765 0.2306
O 0.0645 0.8235 0.2306
O 0.0647 0.5000 0.3322
O 0.2500 0.0000 0.0855
O 0.2500 0.2698 0.4206
O 0.2500 0.7302 0.4206
O 0.4353 0.5000 0.3322
O 0.4355 0.1765 0.2306
O 0.4355 0.8235 0.2306
O 0.5000 0.0000 0.0000
O 0.5000 0.2292 0.5000
O 0.5000 0.7708 0.5000
O 0.5645 0.1765 0.7694
O 0.5645 0.8235 0.7694
O 0.5647 0.5000 0.6678
O 0.7500 0.0000 0.9145
O 0.7500 0.2698 0.5794
O 0.7500 0.7302 0.5794
O 0.9353 0.5000 0.6678
O 0.9355 0.1765 0.7694
O 0.9355 0.8235 0.7694

Record 10
First-principles (GGA-PBE) data for a geometry-optimized Hf10MnSb5 structure, as listed in the Materials Project.

Calculated values
SG: I422
MP2020-corrected energy: -8.59 eV per atom
DFT formation energy: -0.50 eV per atom
E: -136.46 eV for the cell shown

a = 8.3015 Å, b = 8.3015 Å, c = 8.3015 Å
α = 96.43°, β = 96.43°, γ = 140.91°
Fractional coordinates of all 16 atoms:
Hf 0.0000 0.5000 0.5000
Hf 0.0242 0.1630 0.7101
Hf 0.1630 0.4530 0.1388
Hf 0.3142 0.0242 0.8612
Hf 0.4530 0.3142 0.2899
Hf 0.5000 0.0000 0.5000
Hf 0.5470 0.8370 0.8612
Hf 0.6858 0.5470 0.7101
Hf 0.8370 0.9758 0.2899
Hf 0.9758 0.6858 0.1388
Mn 0.0000 0.0000 0.0000
Sb 0.0859 0.9141 0.5000
Sb 0.4141 0.5859 0.5000
Sb 0.5000 0.5000 0.0000
Sb 0.5859 0.0859 0.1717
Sb 0.9141 0.4141 0.8283

Record 11
First-principles (GGA-PBE) data for a geometry-optimized BBr3 structure, as listed in the Materials Project.

Calculated values
SG: P6_3/m
MP2020-corrected energy: -3.83 eV per atom
DFT formation energy: -0.93 eV per atom
E: -27.40 eV for the cell shown

a = 7.0001 Å, b = 7.0001 Å, c = 8.2436 Å
α = 90.00°, β = 90.00°, γ = 120.00°
Fractional coordinates of all 8 atoms:
B 0.3333 0.6667 0.2500
B 0.6667 0.3333 0.7500
Br 0.0702 0.3849 0.2500
Br 0.3147 0.9298 0.2500
Br 0.3849 0.3147 0.7500
Br 0.6151 0.6853 0.2500
Br 0.6853 0.0702 0.7500
Br 0.9298 0.6151 0.7500

Record 12
First-principles (GGA-PBE) data for a geometry-optimized Ba2Cu2Te4Br2O11 structure, as listed in the Materials Project.

Calculated values
SG: P-1
MP2020-corrected energy: -5.65 eV per atom
DFT formation energy: -1.73 eV per atom
E: -222.23 eV for the cell shown

a = 9.3936 Å, b = 9.3996 Å, c = 9.6954 Å
α = 99.59°, β = 99.73°, γ = 108.33°
Fractional coordinates of all 42 atoms:
Ba 0.0177 0.2641 0.0703
Ba 0.4812 0.2306 0.9303
Ba 0.5188 0.7694 0.0697
Ba 0.9823 0.7359 0.9297
Cu 0.1985 0.4496 0.8008
Cu 0.3020 0.0510 0.2014
Cu 0.6980 0.9490 0.7986
Cu 0.8015 0.5504 0.1992
Te 0.0659 0.0425 0.7132
Te 0.2082 0.6859 0.2869
Te 0.3022 0.7965 0.6993
Te 0.4606 0.4429 0.3046
Te 0.5394 0.5571 0.6954
Te 0.6978 0.2035 0.3007
Te 0.7918 0.3141 0.7131
Te 0.9341 0.9575 0.2868
Br 0.0792 0.3266 0.4570
Br 0.3512 0.1030 0.5466
Br 0.6488 0.8970 0.4534
Br 0.9208 0.6734 0.5430
O 0.0088 0.5751 0.1655
O 0.0779 0.0071 0.1678
O 0.1772 0.2439 0.8356
O 0.1993 0.9595 0.8201
O 0.2338 0.6719 0.8302
O 0.2659 0.8293 0.1719
O 0.2950 0.5521 0.1903
O 0.3221 0.2586 0.1724
O 0.4003 0.6550 0.6077
O 0.4217 0.4874 0.8292
O 0.4911 0.9256 0.8341
O 0.5089 0.0744 0.1659
O 0.5783 0.5126 0.1708
O 0.5997 0.3450 0.3923
O 0.6779 0.7414 0.8276
O 0.7050 0.4479 0.8097
O 0.7341 0.1707 0.8281
O 0.7662 0.3281 0.1698
O 0.8007 0.0405 0.1799
O 0.8228 0.7561 0.1644
O 0.9221 0.9929 0.8322
O 0.9912 0.4249 0.8345